No. 1
This record from the Materials Project describes LuInPt2 after structural relaxation. The functional is GGA-PBE. Values from VASP.

Structure (Quantum ESPRESSO input):
```
&SYSTEM
  ibrav = 0, nat = 4, ntyp = 3
/
ATOMIC_SPECIES
Lu 174.97 Lu.upf
In 114.82 In.upf
Pt 195.08 Pt.upf
CELL_PARAMETERS angstrom
3.990 -0.365 2.558
0.782 2.978 3.621
-0.182 -1.598 4.473
ATOMIC_POSITIONS crystal
Lu 0.000 0.000 0.000
In 0.500 0.500 0.500
Pt 0.750 0.750 0.750
Pt 0.250 0.250 0.250
```

Output
- Density: 14.87 g cm⁻³
- Energy relative to the elements: -0.9448 eV/atom


No. 2
This record from the Materials Project describes KRbMg30O31 after structural relaxation. The functional is GGA-PBE. Values from VASP.

Structure (Quantum ESPRESSO input):
```
&SYSTEM
  ibrav = 0, nat = 63, ntyp = 4
/
ATOMIC_SPECIES
Mg 24.30 Mg.upf
O 16.00 O.upf
K 39.10 K.upf
Rb 85.47 Rb.upf
CELL_PARAMETERS angstrom
8.588 0.000 0.000
0.000 8.730 0.000
0.000 0.000 8.742
ATOMIC_POSITIONS crystal
Mg 0.757 0.000 0.760
Mg 0.517 0.000 0.000
Mg 0.247 0.500 0.255
Mg 0.997 0.748 0.754
Mg 0.744 0.251 0.500
Mg 0.249 0.281 0.000
Mg 0.249 0.719 0.000
Mg 0.757 0.000 0.240
Mg 0.498 0.248 0.752
Mg 0.744 0.749 0.500
Mg 0.498 0.248 0.248
Mg 0.760 0.243 0.000
Mg 0.991 0.500 0.000
Mg 0.247 0.000 0.280
Mg 0.997 0.252 0.246
Mg 0.249 0.740 0.500
Mg 0.748 0.500 0.250
Mg 0.993 0.500 0.500
Mg 0.498 0.752 0.752
Mg 0.506 0.500 0.000
Mg 0.498 0.000 0.500
Mg 0.997 0.748 0.246
Mg 0.997 0.252 0.754
Mg 0.500 0.500 0.500
Mg 0.748 0.500 0.750
Mg 0.249 0.260 0.500
Mg 0.247 0.000 0.720
Mg 0.760 0.757 0.000
Mg 0.247 0.500 0.745
Mg 0.498 0.752 0.248
O 0.000 0.000 0.230
O 0.277 0.000 0.500
O 0.247 0.245 0.244
O 0.747 0.249 0.248
O 0.005 0.730 0.000
O 0.999 0.500 0.247
O 0.247 0.245 0.756
O 0.715 0.000 0.500
O 0.247 0.755 0.756
O 0.999 0.500 0.753
O 0.490 0.245 0.000
O 0.744 0.500 0.000
O 0.256 0.500 0.500
O 0.005 0.270 0.000
O 0.247 0.755 0.244
O 0.002 0.721 0.500
O 0.002 0.279 0.500
O 0.495 0.255 0.500
O 0.747 0.751 0.752
O 0.485 0.000 0.764
O 0.741 0.000 0.000
O 0.742 0.500 0.500
O 0.000 0.000 0.770
O 0.747 0.751 0.248
O 0.485 0.000 0.236
O 0.495 0.745 0.500
O 0.490 0.755 0.000
O 0.497 0.500 0.247
O 0.497 0.500 0.753
O 0.257 0.500 0.000
O 0.747 0.249 0.752
K 0.113 0.000 0.000
Rb 0.991 0.000 0.500
```

Output
- Density: 3.42 g cm⁻³
- Energy relative to the elements: -2.8073 eV/atom


No. 3
This record from the Materials Project describes Al2O3 after structural relaxation. The functional is GGA-PBE. Values from VASP.

Structure (Quantum ESPRESSO input):
```
&SYSTEM
  ibrav = 0, nat = 10, ntyp = 2
/
ATOMIC_SPECIES
O 16.00 O.upf
Al 26.98 Al.upf
CELL_PARAMETERS angstrom
-2.021 -1.920 0.616
1.709 -0.316 4.643
-5.149 6.625 3.883
ATOMIC_POSITIONS crystal
O 0.002 0.711 0.710
O 0.998 0.289 0.290
O 0.500 0.394 0.951
O 0.503 0.197 0.743
O 0.500 0.606 0.049
O 0.497 0.803 0.257
Al 0.503 0.915 0.640
Al 0.497 0.085 0.360
Al 0.998 0.627 0.186
Al 0.002 0.373 0.814
```

Output
- Density: 2.62 g cm⁻³
- Energy relative to the elements: -2.6434 eV/atom


No. 4
This record from the Materials Project describes Mg14VNi after structural relaxation. The functional is GGA-PBE. Values from VASP.

Structure (Quantum ESPRESSO input):
```
&SYSTEM
  ibrav = 0, nat = 16, ntyp = 3
/
ATOMIC_SPECIES
V 50.94 V.upf
Mg 24.30 Mg.upf
Ni 58.69 Ni.upf
CELL_PARAMETERS angstrom
6.277 0.009 0.000
-3.131 5.422 0.000
0.000 0.000 9.869
ATOMIC_POSITIONS crystal
V 0.156 0.828 0.125
Mg 0.169 0.335 0.625
Mg 0.323 0.658 0.355
Mg 0.664 0.331 0.625
Mg 0.848 0.174 0.889
Mg 0.670 0.340 0.125
Mg 0.841 0.671 0.876
Mg 0.171 0.836 0.625
Mg 0.323 0.166 0.355
Mg 0.664 0.834 0.625
Mg 0.323 0.166 0.895
Mg 0.323 0.658 0.895
Mg 0.848 0.174 0.361
Mg 0.670 0.830 0.125
Mg 0.841 0.671 0.374
Ni 0.164 0.332 0.125
```

Output
- Density: 2.22 g cm⁻³
- Energy relative to the elements: 0.0944 eV/atom


No. 5
This record from the Materials Project describes MnS2 after structural relaxation. The functional is GGA-PBE. Values from VASP.

Structure (Quantum ESPRESSO input):
```
&SYSTEM
  ibrav = 0, nat = 3, ntyp = 2
/
ATOMIC_SPECIES
S 32.06 S.upf
Mn 54.94 Mn.upf
CELL_PARAMETERS angstrom
7.404 -1.676 0.000
7.404 1.676 0.000
7.025 0.000 2.878
ATOMIC_POSITIONS crystal
S 0.607 0.607 0.607
S 0.393 0.393 0.393
Mn 0.000 0.000 0.000
```

Output
- Density: 2.77 g cm⁻³
- Energy relative to the elements: -0.8895 eV/atom


No. 6
This record from the Materials Project describes Na9Mg10Ta2P3S15O72 after structural relaxation. The functional is GGA-PBE. Values from VASP.

Structure (Quantum ESPRESSO input):
```
&SYSTEM
  ibrav = 0, nat = 111, ntyp = 6
/
ATOMIC_SPECIES
S 32.06 S.upf
O 16.00 O.upf
Mg 24.30 Mg.upf
P 30.97 P.upf
Ta 180.95 Ta.upf
Na 22.99 Na.upf
CELL_PARAMETERS angstrom
-3.301 7.532 -2.937
-4.357 -4.629 5.975
10.737 11.061 16.486
ATOMIC_POSITIONS crystal
S 0.994 0.287 0.250
S 0.371 0.040 0.582
S 0.668 0.626 0.584
S 0.996 0.708 0.751
S 0.375 0.335 0.083
S 0.959 0.335 0.583
S 0.042 0.374 0.918
S 0.670 0.041 0.083
S 0.957 0.625 0.083
S 0.041 0.665 0.417
S 0.331 0.959 0.918
S 0.627 0.667 0.918
S 0.292 0.288 0.751
S 0.629 0.957 0.418
S 0.714 0.709 0.251
O 0.826 0.020 0.090
O 0.977 0.790 0.805
O 0.485 0.123 0.634
O 0.306 0.461 0.471
O 0.971 0.186 0.304
O 0.358 0.862 0.577
O 0.151 0.459 0.970
O 0.975 0.172 0.589
O 0.354 0.494 0.362
O 0.678 0.162 0.744
O 0.642 0.519 0.637
O 0.638 0.131 0.420
O 0.877 0.518 0.137
O 0.135 0.490 0.863
O 0.820 0.026 0.805
O 0.782 0.818 0.197
O 0.494 0.132 0.920
O 0.693 0.547 0.530
O 0.024 0.823 0.409
O 0.033 0.217 0.197
O 0.981 0.807 0.088
O 0.141 0.650 0.078
O 0.156 0.700 0.469
O 0.504 0.863 0.077
O 0.136 0.494 0.578
O 0.194 0.020 0.590
O 0.813 0.791 0.305
O 0.354 0.863 0.864
O 0.546 0.853 0.472
O 0.852 0.544 0.029
O 0.482 0.361 0.137
O 0.473 0.321 0.744
O 0.777 0.963 0.692
O 0.483 0.162 0.245
O 0.868 0.363 0.920
O 0.511 0.653 0.579
O 0.636 0.504 0.920
O 0.184 0.964 0.194
O 0.519 0.832 0.762
O 0.314 0.831 0.262
O 0.637 0.121 0.136
O 0.037 0.817 0.698
O 0.213 0.185 0.804
O 0.827 0.808 0.589
O 0.184 0.218 0.698
O 0.542 0.693 0.970
O 0.800 0.972 0.408
O 0.173 0.974 0.908
O 0.845 0.530 0.744
O 0.162 0.687 0.760
O 0.455 0.302 0.030
O 0.686 0.530 0.244
O 0.694 0.148 0.029
O 0.870 0.503 0.421
O 0.450 0.142 0.527
O 0.800 0.824 0.909
O 0.196 0.172 0.089
O 0.847 0.303 0.530
O 0.309 0.473 0.760
O 0.028 0.200 0.910
O 0.133 0.643 0.363
O 0.355 0.493 0.077
O 0.169 0.186 0.410
O 0.527 0.690 0.259
O 0.507 0.867 0.364
O 0.499 0.354 0.419
O 0.163 0.474 0.258
O 0.877 0.359 0.637
O 0.211 0.024 0.307
O 0.307 0.852 0.971
O 0.846 0.320 0.244
O 0.509 0.644 0.863
Mg 0.670 0.336 0.983
Mg 0.995 0.002 0.850
Mg 0.661 0.329 0.185
Mg 0.006 0.007 0.350
Mg 0.999 0.999 0.650
Mg 0.000 0.998 0.150
Mg 0.668 0.330 0.685
Mg 0.333 0.660 0.019
Mg 0.325 0.652 0.519
Mg 0.668 0.344 0.483
P 0.716 0.011 0.749
P 0.296 0.007 0.250
P 0.332 0.371 0.419
Ta 0.334 0.662 0.312
Ta 0.338 0.671 0.812
Na 0.303 0.971 0.087
Na 0.327 0.659 0.662
Na 0.333 0.661 0.162
Na 0.668 0.971 0.587
Na 0.991 0.002 0.001
Na 0.332 0.040 0.415
Na 0.669 0.327 0.831
Na 0.006 0.008 0.501
Na 0.663 0.336 0.331
```

Output
- Density: 2.83 g cm⁻³
- Energy relative to the elements: -2.4235 eV/atom


No. 7
This record from the Materials Project describes MgSi2 after structural relaxation. The functional is GGA-PBE. Values from VASP.

Structure (Quantum ESPRESSO input):
```
&SYSTEM
  ibrav = 0, nat = 12, ntyp = 2
/
ATOMIC_SPECIES
Si 28.09 Si.upf
Mg 24.30 Mg.upf
CELL_PARAMETERS angstrom
-2.470 -2.337 -4.349
0.742 -0.611 -5.436
5.057 -10.804 -2.212
ATOMIC_POSITIONS crystal
Si 0.947 0.947 0.822
Si 0.025 0.025 0.362
Si 0.460 0.460 0.932
Si 0.929 0.929 0.208
Si 0.160 0.160 0.653
Si 0.675 0.675 0.336
Si 0.602 0.602 0.554
Si 0.552 0.552 0.087
Mg 0.243 0.243 0.134
Mg 0.207 0.207 0.876
Mg 0.875 0.875 0.619
Mg 0.323 0.323 0.417
```

Output
- Density: 2.39 g cm⁻³
- Energy relative to the elements: 0.1520 eV/atom


No. 8
This record from the Materials Project describes Sr7CaTi8O24 after structural relaxation. The functional is GGA-PBE. Values from VASP.

Structure (Quantum ESPRESSO input):
```
&SYSTEM
  ibrav = 0, nat = 40, ntyp = 4
/
ATOMIC_SPECIES
O 16.00 O.upf
Sr 87.62 Sr.upf
Ti 47.87 Ti.upf
Ca 40.08 Ca.upf
CELL_PARAMETERS angstrom
-7.761 -1.150 0.677
-0.142 -3.263 -7.166
1.327 -7.074 3.195
ATOMIC_POSITIONS crystal
O 0.250 0.750 0.000
O 0.250 0.000 0.250
O 0.252 0.748 0.500
O 0.750 0.250 0.000
O 0.750 0.750 0.000
O 0.000 0.750 0.750
O 0.500 0.748 0.252
O 0.748 0.500 0.252
O 0.000 0.250 0.250
O 0.500 0.252 0.252
O 0.748 0.252 0.500
O 0.500 0.748 0.748
O 0.000 0.250 0.750
O 0.500 0.252 0.748
O 0.252 0.252 0.500
O 0.748 0.748 0.500
O 0.748 0.500 0.748
O 0.000 0.750 0.250
O 0.250 0.250 0.000
O 0.252 0.500 0.252
O 0.750 0.000 0.750
O 0.250 0.000 0.750
O 0.750 0.000 0.250
O 0.252 0.500 0.748
Sr 0.000 0.000 0.000
Sr 0.000 0.500 0.000
Sr 0.500 0.500 0.000
Sr 0.500 0.000 0.000
Sr 0.000 0.500 0.500
Sr 0.500 0.000 0.500
Sr 0.000 0.000 0.500
Ti 0.749 0.749 0.749
Ti 0.749 0.251 0.749
Ti 0.251 0.251 0.749
Ti 0.749 0.251 0.251
Ti 0.251 0.749 0.251
Ti 0.749 0.749 0.251
Ti 0.251 0.251 0.251
Ti 0.251 0.749 0.749
Ca 0.500 0.500 0.500
```

Output
- Density: 4.83 g cm⁻³
- Energy relative to the elements: -3.5433 eV/atom